The following is a DFT calculation (meta-GGA r2SCAN) of a geometry-optimized ErWBrO4 structure.

Calculated values
crystal system	triclinic
V	17.55	Å³ per atom
formation enthalpy at 0 K	-2.731	eV per atom

Lattice parameters (Å, degrees): 6.931 7.187 10.799 102.29 108.47 95.16
Fractional coordinates of all 28 atoms:
O 0.347 0.375 0.802
O 0.653 0.625 0.198
O 0.591 0.009 0.186
O 0.729 0.391 0.698
O 0.409 0.991 0.814
O 0.271 0.609 0.302
O 0.349 0.264 0.045
O 0.341 0.501 0.555
O 0.964 0.348 0.333
O 0.659 0.499 0.445
O 0.651 0.736 0.955
O 0.996 0.892 0.203
O 0.004 0.108 0.797
O 0.342 0.220 0.295
O 0.658 0.780 0.705
O 0.036 0.652 0.667
W 0.725 0.816 0.133
W 0.233 0.416 0.374
W 0.275 0.184 0.867
W 0.767 0.584 0.626
Br 0.187 0.724 0.983
Br 0.813 0.276 0.017
Br 0.735 0.985 0.479
Br 0.265 0.015 0.521
Er 0.376 0.666 0.765
Er 0.332 0.900 0.268
Er 0.624 0.334 0.235
Er 0.668 0.100 0.732

The following is a DFT calculation (meta-GGA r2SCAN) of a geometry-optimized BaB2O4 structure.

Calculated values
crystal system	trigonal
V	14.34	Å³ per atom
formation enthalpy at 0 K	-2.879	eV per atom

Lattice parameters (Å, degrees): 13.784 13.784 13.784 30.62 30.62 30.62
Fractional coordinates of all 42 atoms:
B 0.139 0.996 0.751
B 0.639 0.251 0.496
B 0.496 0.639 0.251
B 0.004 0.249 0.861
B 0.249 0.861 0.004
B 0.251 0.496 0.639
B 0.749 0.504 0.361
B 0.504 0.361 0.749
B 0.996 0.751 0.139
B 0.361 0.749 0.504
B 0.861 0.004 0.249
B 0.751 0.139 0.996
O 0.974 0.441 0.693
O 0.928 0.165 0.789
O 0.072 0.835 0.211
O 0.026 0.559 0.307
O 0.559 0.307 0.026
O 0.789 0.928 0.165
O 0.572 0.711 0.335
O 0.307 0.026 0.559
O 0.165 0.789 0.928
O 0.335 0.572 0.711
O 0.711 0.335 0.572
O 0.474 0.193 0.941
O 0.807 0.059 0.526
O 0.835 0.211 0.072
O 0.441 0.693 0.974
O 0.941 0.474 0.193
O 0.665 0.428 0.289
O 0.289 0.665 0.428
O 0.193 0.941 0.474
O 0.693 0.974 0.441
O 0.428 0.289 0.665
O 0.211 0.072 0.835
O 0.059 0.526 0.807
O 0.526 0.807 0.059
Ba 0.350 0.350 0.350
Ba 0.150 0.150 0.150
Ba 0.850 0.850 0.850
Ba 0.650 0.650 0.650
Ba 0.750 0.750 0.750
Ba 0.250 0.250 0.250

The following is a DFT calculation (meta-GGA r2SCAN) of a geometry-optimized UB4 structure.

Calculated values
crystal system	tetragonal
V	9.69	Å³ per atom
formation enthalpy at 0 K	-0.512	eV per atom

Lattice parameters (Å, degrees): 3.942 7.010 7.010 90.00 90.00 90.00
Fractional coordinates of all 20 atoms:
B 0.500 0.821 0.962
B 0.500 0.321 0.538
B 0.500 0.462 0.321
B 0.500 0.913 0.413
B 0.500 0.087 0.587
B 0.200 0.000 0.000
B 0.500 0.587 0.913
B 0.500 0.413 0.087
B 0.500 0.179 0.038
B 0.500 0.538 0.679
B 0.500 0.962 0.179
B 0.800 0.500 0.500
B 0.500 0.038 0.821
B 0.500 0.679 0.462
B 0.200 0.500 0.500
B 0.800 0.000 0.000
U 0.000 0.190 0.310
U 0.000 0.810 0.690
U 0.000 0.310 0.810
U 0.000 0.690 0.190

The following is a DFT calculation (meta-GGA r2SCAN) of a geometry-optimized Tb2Si2O7 structure.

Calculated values
crystal system	triclinic
V	12.03	Å³ per atom
formation enthalpy at 0 K	-3.528	eV per atom

Lattice parameters (Å, degrees): 6.626 6.651 12.047 94.21 90.97 91.76
Fractional coordinates of all 44 atoms:
Tb 0.882 0.912 0.641
Tb 0.369 0.223 0.632
Tb 0.949 0.674 0.884
Tb 0.118 0.088 0.359
Tb 0.673 0.174 0.892
Tb 0.327 0.826 0.108
Tb 0.631 0.777 0.368
Tb 0.051 0.326 0.116
O 0.400 0.572 0.696
O 0.963 0.769 0.425
O 0.769 0.915 0.996
O 0.075 0.416 0.313
O 0.380 0.137 0.211
O 0.231 0.085 0.004
O 0.925 0.584 0.687
O 0.999 0.666 0.082
O 0.644 0.512 0.874
O 0.620 0.863 0.789
O 0.416 0.172 0.446
O 0.712 0.221 0.686
O 0.288 0.779 0.314
O 0.226 0.906 0.622
O 0.652 0.789 0.186
O 0.001 0.334 0.918
O 0.301 0.708 0.906
O 0.600 0.428 0.304
O 0.348 0.211 0.814
O 0.713 0.426 0.509
O 0.287 0.574 0.491
O 0.002 0.988 0.814
O 0.998 0.012 0.186
O 0.356 0.488 0.126
O 0.037 0.231 0.575
O 0.699 0.292 0.094
O 0.584 0.828 0.554
O 0.774 0.094 0.378
Si 0.845 0.850 0.116
Si 0.512 0.333 0.175
Si 0.376 0.727 0.595
Si 0.145 0.624 0.381
Si 0.855 0.376 0.619
Si 0.624 0.273 0.405
Si 0.488 0.667 0.825
Si 0.155 0.150 0.884

The following is a DFT calculation (meta-GGA r2SCAN) of a geometry-optimized SiO2 structure.

Calculated values
crystal system	orthorhombic
V	17.25	Å³ per atom
formation enthalpy at 0 K	-3.024	eV per atom

Lattice parameters (Å, degrees): 8.374 13.214 13.214 66.65 71.53 71.53
Fractional coordinates of all 72 atoms:
O 0.511 0.739 0.239
O 0.672 0.790 0.866
O 0.948 0.967 0.138
O 0.114 0.319 0.998
O 0.652 0.115 0.142
O 0.227 0.898 0.218
O 0.091 0.642 0.615
O 0.909 0.885 0.858
O 0.148 0.602 0.102
O 0.489 0.261 0.761
O 0.000 0.716 0.784
O 0.091 0.115 0.142
O 0.948 0.638 0.467
O 0.431 0.502 0.181
O 0.328 0.634 0.710
O 0.886 0.502 0.181
O 0.152 0.299 0.799
O 0.749 0.299 0.799
O 0.753 0.000 0.000
O 0.848 0.701 0.201
O 0.753 0.500 0.500
O 0.227 0.718 0.398
O 0.672 0.366 0.290
O 0.852 0.398 0.898
O 0.773 0.282 0.602
O 0.348 0.358 0.385
O 0.348 0.885 0.858
O 0.328 0.210 0.134
O 0.342 0.282 0.602
O 0.909 0.358 0.385
O 0.114 0.498 0.819
O 0.658 0.718 0.398
O 0.886 0.681 0.002
O 0.342 0.102 0.782
O 0.652 0.642 0.615
O 0.251 0.701 0.201
O 0.569 0.498 0.819
O 0.052 0.033 0.862
O 0.569 0.319 0.998
O 0.500 0.284 0.216
O 0.247 0.000 0.000
O 0.658 0.898 0.218
O 0.431 0.681 0.002
O 0.500 0.716 0.784
O 0.052 0.362 0.533
O 0.773 0.102 0.782
O 0.000 0.284 0.216
O 0.247 0.500 0.500
Si 0.697 0.236 0.736
Si 0.866 0.378 0.268
Si 0.331 0.236 0.736
Si 0.128 0.624 0.495
Si 0.248 0.005 0.876
Si 0.058 0.378 0.878
Si 0.488 0.768 0.878
Si 0.866 0.768 0.878
Si 0.752 0.624 0.495
Si 0.303 0.764 0.264
Si 0.512 0.232 0.122
Si 0.488 0.378 0.268
Si 0.685 0.378 0.878
Si 0.752 0.995 0.124
Si 0.942 0.622 0.122
Si 0.872 0.376 0.505
Si 0.128 0.995 0.124
Si 0.248 0.376 0.505
Si 0.512 0.622 0.732
Si 0.134 0.622 0.732
Si 0.669 0.764 0.264
Si 0.872 0.005 0.876
Si 0.134 0.232 0.122
Si 0.315 0.622 0.122

The following is a DFT calculation (meta-GGA r2SCAN) of a geometry-optimized Tm2Ga10Os3 structure.

Calculated values
crystal system	tetragonal
V	16.36	Å³ per atom
formation enthalpy at 0 K	-0.501	eV per atom

Lattice parameters (Å, degrees): 8.810 8.810 6.322 90.00 90.00 90.00
Fractional coordinates of all 30 atoms:
Ga 0.207 0.061 0.708
Ga 0.707 0.439 0.292
Ga 0.939 0.207 0.708
Ga 0.000 0.500 0.282
Ga 0.500 0.000 0.718
Ga 0.707 0.439 0.708
Ga 0.500 0.000 0.282
Ga 0.293 0.561 0.292
Ga 0.561 0.707 0.292
Ga 0.061 0.793 0.708
Ga 0.793 0.939 0.708
Ga 0.293 0.561 0.708
Ga 0.561 0.707 0.708
Ga 0.439 0.293 0.708
Ga 0.207 0.061 0.292
Ga 0.939 0.207 0.292
Ga 0.000 0.500 0.718
Ga 0.793 0.939 0.292
Ga 0.439 0.293 0.292
Ga 0.061 0.793 0.292
Os 0.679 0.179 0.500
Os 0.500 0.500 0.000
Os 0.179 0.321 0.500
Os 0.821 0.679 0.500
Os 0.321 0.821 0.500
Os 0.000 0.000 0.000
Tm 0.183 0.317 0.000
Tm 0.317 0.817 0.000
Tm 0.683 0.183 0.000
Tm 0.817 0.683 0.000